# 1
Density functional theory data (GGA-PBE) for Bi2Se after structural relaxation.

POSCAR file:
```
Bi2Se
1.0
0.0000 -4.2689 0.0000
0.0000 1.9936 7.2248
-11.8598 0.0000 0.0000
Bi Se
8 4
direct
0.5340 0.9730 0.3620 Bi
0.9660 0.0270 0.8620 Bi
0.4660 0.0270 0.6380 Bi
0.0340 0.9730 0.1380 Bi
0.1760 0.3314 0.3762 Bi
0.3240 0.6686 0.8762 Bi
0.8240 0.6686 0.6238 Bi
0.6760 0.3314 0.1238 Bi
0.6462 0.3482 0.8888 Se
0.8538 0.6518 0.3888 Se
0.3538 0.6518 0.1112 Se
0.1462 0.3482 0.6112 Se
```

***

# 2
Density functional theory data (GGA-PBE) for WN2 after structural relaxation.

POSCAR file:
```
WN2
1.0
4.8505 0.0000 0.0000
0.0000 4.8505 0.0000
0.0000 0.0000 2.9645
W N
2 4
direct
0.5000 0.5000 0.0000 W
0.0000 0.0000 0.5000 W
0.8027 0.8027 0.0000 N
0.1973 0.1973 0.0000 N
0.6973 0.3027 0.5000 N
0.3027 0.6973 0.5000 N
```

***

# 3
Density functional theory data (GGA-PBE) for MoCl5 after structural relaxation.

POSCAR file:
```
MoCl5
1.0
-3.4071 -4.4093 3.2847
1.3390 -1.4138 -6.6740
7.7221 -1.7323 5.2498
Mo Cl
2 10
direct
0.1053 0.7149 0.7143 Mo
0.8947 0.2851 0.2857 Mo
0.2339 0.6831 0.4615 Cl
0.1134 0.1363 0.3543 Cl
0.7661 0.3169 0.5385 Cl
0.4307 0.0695 0.8351 Cl
0.8866 0.8637 0.6457 Cl
0.5693 0.9305 0.1649 Cl
0.0549 0.3068 0.0775 Cl
0.2928 0.5124 0.7380 Cl
0.7072 0.4876 0.2620 Cl
0.9451 0.6932 0.9225 Cl
```

***

# 4
Density functional theory data (GGA-PBE) for Hg3AsO5 after structural relaxation.

POSCAR file:
```
Hg3AsO5
1.0
-8.7457 -1.5015 2.6757
2.2718 -5.0634 4.5842
2.7323 2.2214 10.1771
Hg As O
12 4 20
direct
0.1370 0.6575 0.3452 Hg
0.3630 0.6575 0.8452 Hg
0.8630 0.3425 0.6548 Hg
0.6370 0.3425 0.1548 Hg
0.0042 0.7740 0.9860 Hg
0.4958 0.7740 0.4860 Hg
0.9958 0.2260 0.0140 Hg
0.5042 0.2260 0.5140 Hg
0.3687 0.9593 0.0537 Hg
0.1313 0.9593 0.5537 Hg
0.6313 0.0407 0.9463 Hg
0.8687 0.0407 0.4463 Hg
0.2405 0.3022 0.7099 As
0.2595 0.3022 0.2099 As
0.7595 0.6978 0.2901 As
0.7405 0.6978 0.7901 As
0.1361 0.8621 0.1148 O
0.3639 0.8621 0.6148 O
0.8639 0.1379 0.8852 O
0.6361 0.1379 0.3852 O
0.2313 0.3359 0.8561 O
0.2687 0.3359 0.3561 O
0.7687 0.6641 0.1439 O
0.7313 0.6641 0.6439 O
0.1793 0.0483 0.7567 O
0.3207 0.0483 0.2567 O
0.8207 0.9517 0.2433 O
0.6793 0.9517 0.7433 O
0.1289 0.5139 0.5756 O
0.3711 0.5139 0.0756 O
0.8711 0.4861 0.4244 O
0.6289 0.4861 0.9244 O
0.4176 0.3526 0.6431 O
0.0824 0.3526 0.1431 O
0.5824 0.6474 0.3569 O
0.9176 0.6474 0.8569 O
```

***

# 5
Density functional theory data (GGA-PBE) for Na5Pr4Ge4O16F after structural relaxation.

POSCAR file:
```
Na5Pr4Ge4O16F
1.0
-6.1282 6.1282 2.8767
6.1282 -6.1282 2.8767
6.1282 6.1282 -2.8767
Na Pr Ge O F
5 4 4 16 1
direct
0.8191 0.6272 0.9834 Na
0.6438 0.8357 0.0166 Na
0.1643 0.1809 0.8081 Na
0.3728 0.3562 0.1919 Na
0.2500 0.7500 0.5000 Na
0.9563 0.3893 0.7980 Pr
0.5913 0.1583 0.2020 Pr
0.8417 0.0437 0.4330 Pr
0.6107 0.4087 0.5670 Pr
0.5076 0.6577 0.6450 Ge
0.0127 0.8626 0.3550 Ge
0.1374 0.4924 0.1501 Ge
0.3423 0.9873 0.8499 Ge
0.6110 0.6134 0.7844 O
0.8290 0.8266 0.2156 O
0.1734 0.3890 0.0024 O
0.3866 0.1710 0.9976 O
0.1980 0.4740 0.6311 O
0.8429 0.5669 0.3689 O
0.4331 0.8020 0.2760 O
0.5260 0.1571 0.7240 O
0.7330 0.9869 0.6770 O
0.3098 0.0560 0.3230 O
0.9440 0.2670 0.2538 O
0.0131 0.6902 0.7462 O
0.5276 0.5844 0.4648 O
0.1196 0.0629 0.5352 O
0.9371 0.4724 0.0567 O
0.4156 0.8804 0.9433 O
0.7500 0.2500 0.5000 F
```

***

# 6
Density functional theory data (GGA-PBE) for ZrGeAs after structural relaxation.

POSCAR file:
```
ZrGeAs
1.0
3.6407 0.0000 0.0000
0.0000 6.7389 0.0000
0.0000 0.0000 9.4391
Zr Ge As
4 4 4
direct
0.2500 0.7255 0.8376 Zr
0.7500 0.2745 0.1624 Zr
0.7500 0.7745 0.3376 Zr
0.2500 0.2255 0.6624 Zr
0.2500 0.6228 0.5442 Ge
0.7500 0.3772 0.4558 Ge
0.7500 0.8772 0.0442 Ge
0.2500 0.1228 0.9558 Ge
0.2500 0.6025 0.1456 As
0.7500 0.3975 0.8544 As
0.7500 0.8975 0.6456 As
0.2500 0.1025 0.3544 As
```

***

# 7
Density functional theory data (GGA-PBE) for CdNi3N after structural relaxation.

POSCAR file:
```
CdNi3N
1.0
-3.4571 0.4930 -1.6205
0.4772 -3.2504 -2.0069
-1.6252 -2.0031 2.8578
Cd Ni N
1 3 1
direct
0.0000 0.0000 0.0000 Cd
0.5000 0.5000 0.0000 Ni
0.5000 0.0000 0.5000 Ni
0.0000 0.5000 0.5000 Ni
0.5000 0.5000 0.5000 N
```

***

# 8
Density functional theory data (GGA-PBE) for Na3H5C4O8 after structural relaxation.

POSCAR file:
```
Na3H5C4O8
1.0
-3.5725 0.0000 0.0000
1.5315 8.4170 0.0000
-0.4791 -3.4547 -7.9532
Na H C O
3 5 4 8
direct
0.2843 0.5369 0.8328 Na
0.0000 0.0000 0.0000 Na
0.7157 0.4631 0.1672 Na
0.9176 0.1610 0.3836 H
0.4371 0.8624 0.3438 H
0.0824 0.8390 0.6164 H
0.5629 0.1376 0.6562 H
0.5000 0.5000 0.5000 H
0.8889 0.7260 0.6243 C
0.6111 0.1940 0.7957 C
0.1111 0.2740 0.3757 C
0.3889 0.8060 0.2043 C
0.1375 0.2939 0.2402 O
0.8625 0.7061 0.7598 O
0.7110 0.3573 0.8656 O
0.4403 0.9102 0.1323 O
0.2890 0.6427 0.1344 O
0.7051 0.6237 0.4861 O
0.5597 0.0898 0.8677 O
0.2949 0.3763 0.5139 O
```

***

no.,total DFT energy (no corrections) (eV/atom),calculated formation energy (eV per atom)
1,-3.82,-0.22
2,-9.95,-0.31
3,-4.14,-1.30
4,-4.05,-1.06
5,-6.58,-2.78
6,-6.63,-0.69
7,-5.38,-0.14
8,-6.05,-1.46